A plane-wave DFT calculation with meta-GGA r2SCAN was carried out for a relaxed YPd3S4 crystal.

Cell: 6.672 6.672 6.672 Å, 90.00 90.00 90.00°
Atoms (fractional coordinates):
Y1 0.000 0.000 0.000
Y2 0.500 0.500 0.500
Pd1 0.250 0.000 0.500
Pd2 0.750 0.000 0.500
Pd3 0.500 0.250 0.000
Pd4 0.500 0.750 0.000
Pd5 0.000 0.500 0.250
Pd6 0.000 0.500 0.750
S1 0.250 0.250 0.250
S2 0.750 0.750 0.750
S3 0.750 0.750 0.250
S4 0.750 0.250 0.750
S5 0.250 0.250 0.750
S6 0.250 0.750 0.250
S7 0.250 0.750 0.750
S8 0.750 0.250 0.250

Summary:
DFT formation energy in kJ/mol of atoms: -99.7